The following is a DFT calculation (PBE with a Hubbard U) of a relaxed structure of La2Mo2O7.

Lattice parameters (Å, degrees): 6.1034 12.3923 4.0069 90.00 90.00 90.00
Space group Pnnm (No. 58)
One atom of each set of equivalent atoms:
La 0.0950 0.1564 0.0000 (multiplicity 4)
Mo 0.1860 0.4483 0.0000 (multiplicity 4)
O 0.0000 0.0000 0.5000 (multiplicity 2)
O 0.1155 0.6174 0.0000 (multiplicity 4)
O 0.1497 0.7978 0.5000 (multiplicity 4)
O 0.2321 0.4570 0.5000 (multiplicity 4)

Results
Total energy in eV per atom: -7.765
Energy of formation from the pure elements in meV/atom: -2766
Mass density in g cm⁻³: 6.37

The following is a DFT calculation (PBE with a Hubbard U) of a relaxed structure of AlV2O4.

Lattice parameters (Å, degrees): 5.8396 5.8396 29.4668 90.00 90.00 120.00
Space group R-3m (No. 166, hexagonal axes)
One atom of each set of equivalent atoms:
Al 0.0000 0.0000 0.1839 (multiplicity 6)
Al 0.0000 0.0000 0.3073 (multiplicity 6)
V 0.0000 0.0000 0.0000 (multiplicity 3)
V 0.0000 0.0000 0.5000 (multiplicity 3)
V 0.0323 0.5162 0.2491 (multiplicity 18)
O 0.0000 0.0000 0.1222 (multiplicity 6)
O 0.0000 0.0000 0.3691 (multiplicity 6)
O 0.0013 0.5007 0.6208 (multiplicity 18)
O 0.0093 0.5046 0.8739 (multiplicity 18)

Results
Total energy in eV per atom: -7.720
Energy of formation from the pure elements in meV/atom: -2641
Energy above the most stable polymorph in this dataset in eV per atom: 0.1244
Mass density in g cm⁻³: 4.42

The following is a DFT calculation (PBE with a Hubbard U) of a relaxed structure of KGd2CuMo4O16.

Lattice parameters (Å, degrees): 5.3466 12.8441 19.7906 90.00 93.35 90.00
Space group C2/c (No. 15)
One atom of each set of equivalent atoms:
K 0.0000 0.0298 0.2500 (multiplicity 4)
Gd 0.0007 0.1471 0.4673 (multiplicity 8)
Cu 0.0000 0.3092 0.2500 (multiplicity 4)
Mo 0.0114 0.2577 0.6472 (multiplicity 8)
Mo 0.0149 0.4380 0.0916 (multiplicity 8)
O 0.1006 0.4070 0.3282 (multiplicity 8)
O 0.1219 0.1391 0.8278 (multiplicity 8)
O 0.1590 0.3323 0.0421 (multiplicity 8)
O 0.1765 0.2391 0.5671 (multiplicity 8)
O 0.2239 0.4534 0.6005 (multiplicity 8)
O 0.2345 0.2959 0.7134 (multiplicity 8)
O 0.2373 0.0201 0.5385 (multiplicity 8)
O 0.2484 0.3476 0.8689 (multiplicity 8)

Results
Total energy in eV per atom: -7.884
Energy of formation from the pure elements in meV/atom: -2380
Mass density in g cm⁻³: 5.17

The following is a DFT calculation (PBE with a Hubbard U) of a relaxed structure of Ba2MnP2F.

Lattice parameters (Å, degrees): 3.7776 3.7776 15.7170 90.00 90.00 90.00
Space group P4/mmm (No. 123)
One atom of each set of equivalent atoms:
Ba 0.0000 0.0000 0.1571 (multiplicity 2)
Mn 0.0000 0.0000 0.5000 (multiplicity 1)
P 0.0000 0.0000 0.3508 (multiplicity 2)
F 0.0000 0.0000 0.0000 (multiplicity 1)

Results
Total energy in eV per atom: -4.169
Energy of formation from the pure elements in meV/atom: -234
Mass density in g cm⁻³: 3.04

The following is a DFT calculation (PBE with a Hubbard U) of a relaxed structure of MnNi6O8.

Lattice parameters (Å, degrees): 5.9466 5.9466 14.5360 90.00 90.00 120.00
Space group R-3m (No. 166, hexagonal axes)
One atom of each set of equivalent atoms:
Mn 0.0000 0.0000 0.0000 (multiplicity 3)
Ni 0.0000 0.5000 0.0000 (multiplicity 9)
Ni 0.0000 0.5000 0.5000 (multiplicity 9)
O 0.0000 0.0000 0.2502 (multiplicity 6)
O 0.0270 0.5135 0.7432 (multiplicity 18)

Results
Total energy in eV per atom: -5.429
Energy of formation from the pure elements in meV/atom: -1361
Mass density in g cm⁻³: 5.99

The following is a DFT calculation (PBE with a Hubbard U) of a relaxed structure of Li4Fe3Ni3Sb2O16.

Lattice parameters (Å, degrees): 10.1944 5.8455 9.6438 90.00 91.40 90.00
Space group Cm (No. 8)
One atom of each set of equivalent atoms:
Li 0.0000 0.0000 0.0000 (multiplicity 2)
Li 0.0009 0.0000 0.4972 (multiplicity 2)
Li 0.1675 0.5000 0.5826 (multiplicity 2)
Li 0.3369 0.0000 0.0878 (multiplicity 2)
Fe 0.3295 0.5000 0.2732 (multiplicity 2)
Fe 0.4137 0.2384 0.7729 (multiplicity 4)
Ni 0.0876 0.2583 0.2727 (multiplicity 4)
Ni 0.1743 0.0000 0.7735 (multiplicity 2)
Sb 0.1653 0.5000 0.0002 (multiplicity 2)
Sb 0.3322 0.0000 0.4965 (multiplicity 2)
O 0.0201 0.5000 0.1453 (multiplicity 2)
O 0.0769 0.2498 0.8910 (multiplicity 4)
O 0.1602 0.0000 0.3912 (multiplicity 2)
O 0.1744 0.5000 0.3723 (multiplicity 2)
O 0.2452 0.2771 0.1406 (multiplicity 4)
O 0.2628 0.2261 0.6411 (multiplicity 4)
O 0.3294 0.5000 0.8917 (multiplicity 2)
O 0.3428 0.0000 0.8794 (multiplicity 2)
O 0.4131 0.2544 0.3882 (multiplicity 4)
O 0.4864 0.0000 0.6330 (multiplicity 2)
O 0.4944 0.5000 0.6933 (multiplicity 2)
O 0.4950 0.5000 0.1931 (multiplicity 2)

Results
Total energy in eV per atom: -5.729
Energy of formation from the pure elements in meV/atom: -1714
Energy above the most stable polymorph in this dataset in eV per atom: 0.0194
Mass density in g cm⁻³: 5.03